1.
Material: Rb3Sr
Method: DFT, PBE
State: optimized geometry

Output
For the distance to the lowest polymorph of the same formula, the calculation gives 0.000 eV per atom. For the calculated total energy, the calculation gives -1.0226 eV/atom. Its formation energy is 0.135 eV/atom.

```
4
Lattice="-3.301 -6.683 -1.906 -6.624 -0.041 -3.913 -0.113 -2.277 -7.348" Properties=species:S:1:pos:R:3 pbc="T T T"
Rb -2.510 -2.250 -3.292
Sr 0.000 0.000 0.000
Rb -7.529 -6.751 -9.875
Rb -5.019 -4.501 -6.583
```

=====

2.
Material: MgTi2S4
Method: DFT, PBE
State: optimized geometry

Output
For the calculated total energy, the calculation gives -6.0710 eV/atom. Its formation energy is -1.510 eV/atom.

```
14
Lattice="-3.603 3.734 5.221 3.603 -3.734 5.221 3.603 3.734 -5.221" Properties=species:S:1:pos:R:3 pbc="T T T"
S -1.759 1.867 5.332
Mg 0.000 0.000 5.221
Mg 3.603 0.000 0.000
S 0.000 3.842 2.604
S 0.000 0.108 7.838
S 3.603 3.626 -2.617
S 1.759 1.867 5.332
S 3.603 -0.108 2.617
S 5.362 1.867 -0.111
Ti 0.000 1.867 1.286
Ti 3.603 1.867 3.935
Ti 1.802 -1.867 2.610
S 1.845 1.867 -0.111
Ti 1.802 1.867 -2.610
```

=====

3.
Material: Os4C13S2O13
Method: DFT, PBE
State: optimized geometry

Output
For the calculated total energy, the calculation gives -8.0831 eV/atom. Its formation energy is -0.972 eV/atom.

```
128
Lattice="-7.804 -0.424 10.048 7.671 -3.734 5.801 10.722 13.146 8.883" Properties=species:S:1:pos:R:3 pbc="T T T"
O -2.842 1.146 11.488
O -1.022 2.996 7.660
C -0.835 -2.778 11.673
C 0.055 1.799 12.905
Os 5.339 2.708 17.193
C 1.451 4.131 14.131
O 9.897 -0.382 7.935
C 8.889 -0.736 8.389
O 9.285 7.325 18.944
Os 9.680 6.615 13.484
C -2.354 2.135 11.128
C 14.779 8.783 16.166
O 6.935 8.120 15.749
C -1.226 3.284 8.766
O 11.611 5.992 17.072
C 0.539 0.747 10.295
C 9.137 4.857 10.601
C 8.795 11.228 12.744
C 5.779 8.444 19.253
O 8.477 5.222 15.993
C 4.339 0.689 15.825
O -1.314 -0.424 7.197
C 7.287 -0.669 5.837
O 2.112 3.766 8.739
O -0.435 1.438 13.894
Os 3.338 10.362 15.570
O 6.870 7.243 12.402
O 1.719 3.573 15.115
O 15.627 10.344 12.958
O 1.303 1.663 5.787
C 10.019 7.279 19.855
O 8.870 5.415 9.617
S 5.564 11.351 15.119
C 6.084 8.409 16.485
O 8.563 10.226 17.646
O 4.150 0.813 4.561
C 5.793 4.259 18.181
C -1.166 -0.412 6.049
S 12.105 4.303 11.838
C 1.644 3.286 9.685
Os -1.593 3.812 10.576
O 3.654 0.868 8.982
Os 0.929 5.050 12.544
Os 7.250 -1.374 9.162
O 11.024 7.550 10.837
S 11.156 8.574 22.881
C 4.858 3.813 15.687
O 7.315 8.272 9.390
S 5.024 -2.363 9.612
C 4.810 0.544 5.478
O -3.678 1.250 8.536
Os 5.819 11.598 17.592
Os 5.920 0.129 6.981
S 7.497 2.094 16.249
C 3.301 9.657 18.895
S -0.568 0.414 1.850
C 2.656 1.993 11.930
O 11.902 9.412 17.534
O 3.274 0.716 15.341
Os 12.182 5.176 14.156
C 6.250 8.299 8.906
O 2.387 -1.255 12.148
C 9.694 2.225 11.370
O 5.984 4.453 9.914
C 10.534 7.189 11.826
C 11.754 9.400 18.682
O 9.637 1.205 10.812
C 6.837 0.239 10.122
O -5.038 -1.356 11.773
C 3.721 7.201 17.541
C 11.424 11.766 13.058
O 0.951 7.783 13.920
C 3.752 8.749 14.610
S -1.517 4.685 12.893
O 6.439 8.175 20.170
O 3.718 1.745 12.330
O 13.431 7.842 13.244
C 5.731 5.175 9.045
O 4.020 7.801 13.996
O 3.216 6.157 17.454
O 4.533 3.762 5.963
O 2.025 -1.238 7.085
O 0.311 5.946 16.449
O 7.373 2.830 7.278
O 4.605 4.535 14.817
C 3.067 -1.754 7.073
O 3.853 5.409 11.669
O 10.287 10.492 9.557
C 4.878 -2.706 5.233
O 10.277 3.042 8.283
C 7.522 10.742 17.658
O 14.266 7.738 16.195
C 7.932 6.995 12.801
Os 9.659 3.937 12.188
C 0.570 1.708 4.876
Os 0.909 2.373 11.247
Os 4.668 8.859 17.751
C 0.895 6.763 13.361
O 10.217 9.266 14.959
S 3.092 6.894 8.482
Os 5.250 6.280 7.539
O 0.691 9.370 16.797
Os 11.509 9.325 20.592
C 6.868 1.787 7.190
C 10.049 8.241 14.437
C 3.548 2.672 17.904
C 4.504 0.579 8.246
O 6.055 5.226 18.769
C 1.793 -2.240 11.987
O 6.569 1.187 10.735
O 0.372 -0.279 9.772
C 2.744 5.251 11.975
Os -0.920 -0.337 4.139
O 6.736 3.579 13.062
C 1.700 9.724 16.343
C -4.191 0.205 8.565
C 7.845 3.737 12.756
O 0.302 -1.504 15.174
C 4.796 4.729 6.550
O -1.769 -2.093 11.680
C 7.040 6.316 6.827
C 8.944 5.702 15.047
C 12.943 6.853 13.604
O 12.358 11.081 13.051
Os 4.770 -2.610 7.139
O 8.201 10.243 12.583
C 5.711 11.694 19.499
C 11.815 5.704 15.965
```

=====

4.
Material: Na3Zr2Si2PO12
Method: DFT, PBE
State: optimized geometry

Output
For the distance to the lowest polymorph of the same formula, the calculation gives 0.013 eV per atom. For the calculated total energy, the calculation gives -7.5585 eV/atom. Its formation energy is -3.136 eV/atom.

```
120
Lattice="9.228 0.012 -0.016 -4.604 7.997 0.016 -0.040 0.023 22.696" Properties=species:S:1:pos:R:3 pbc="T T T"
P 2.694 5.363 20.884
O 5.218 6.501 1.963
Na 2.944 5.555 1.914
O -0.853 7.050 19.338
Na 0.114 5.372 15.164
O -3.044 7.800 20.764
Na -1.231 2.698 1.995
Zr -0.008 5.268 7.124
O 0.834 3.608 10.852
O 5.438 6.290 18.411
O -0.785 3.911 5.689
O 1.916 0.143 7.064
Si -1.396 7.736 20.724
O -0.737 3.748 22.115
O 2.716 7.893 15.550
O 5.392 4.230 16.956
O 3.670 4.097 14.399
Si 1.871 2.669 1.801
O -1.630 5.146 1.808
Na 5.868 5.375 20.822
O -2.883 7.894 4.568
Na 1.265 2.694 13.262
P 5.970 0.314 1.961
Zr 0.038 5.394 18.471
Si 5.958 5.041 1.873
Zr 0.058 0.043 3.336
O 3.799 1.264 20.809
O 8.294 1.427 6.824
O -1.693 5.440 10.627
O -0.947 3.882 13.183
O 0.574 3.843 17.099
O 3.573 1.264 11.904
O -1.033 6.707 5.735
O 1.896 5.494 22.199
O -0.688 1.532 20.716
Na 2.923 0.228 9.474
O 1.583 0.251 13.311
Si -1.407 3.010 20.796
Zr -0.081 5.388 11.803
O 7.527 0.222 1.932
O 6.325 2.578 12.112
Na 3.373 5.379 9.555
O -0.953 6.766 21.975
Na 1.652 7.737 13.343
Zr 9.145 0.057 8.000
O 3.593 6.592 4.344
Na 0.049 5.213 3.816
Si 1.314 2.383 17.008
O -1.888 5.211 7.990
O 3.771 4.380 11.762
Na 4.653 7.894 11.376
Si 3.228 5.066 13.148
O 1.030 6.762 10.767
Si 1.851 8.020 16.936
O 5.574 1.231 0.765
O 5.198 1.174 9.523
P 7.317 2.693 13.309
O 3.956 4.190 5.580
O 5.574 1.417 16.961
O 6.520 2.824 14.624
Zr 4.576 2.621 22.244
Na 3.353 0.052 17.115
Zr 4.662 2.724 10.896
Si 3.237 5.668 5.660
P 1.346 2.983 9.537
Si -2.753 5.338 9.376
P 5.950 5.665 17.097
O 0.950 3.901 8.340
Zr 4.543 2.718 4.228
O 2.954 2.500 16.928
O 5.654 4.092 3.191
O -1.051 3.934 19.479
Zr -0.063 5.373 0.456
O 0.712 6.940 8.132
O -0.833 1.699 4.202
Na 7.527 2.909 17.034
Na 6.276 5.068 5.767
O 3.819 6.592 13.249
O 0.845 1.394 1.901
O -3.633 6.733 9.416
O 3.657 6.564 20.743
O 3.887 1.078 14.539
O 3.907 6.406 6.979
O 1.580 5.131 13.189
P 2.714 0.012 5.749
O 8.175 1.391 13.280
O 7.515 0.124 18.172
O 0.991 4.064 1.841
O 1.010 1.434 18.327
O 2.974 7.827 9.368
O -1.721 5.561 17.083
O 1.701 5.247 19.688
Na 4.633 2.566 18.936
O 0.692 1.613 15.692
Na 0.134 0.021 0.028
O 2.931 2.770 3.052
O -3.674 6.570 15.916
Si 1.334 7.711 9.448
O 0.809 6.876 1.836
O 5.449 4.075 9.461
O 1.603 5.579 5.751
O 3.677 1.213 5.608
O 0.825 6.745 17.037
Na 1.632 2.410 20.903
O 5.458 0.939 3.276
O 0.788 1.548 9.396
Zr 4.596 7.949 14.684
Si -1.376 2.385 5.589
Zr 4.521 2.727 15.576
Zr 9.127 0.072 19.348
O 5.336 4.271 0.556
Na 4.738 2.702 7.588
O 6.204 2.461 5.613
O 6.186 2.932 20.871
O 2.736 2.542 0.414
Na 5.888 0.024 5.686
O -0.668 6.859 13.156
Si 3.217 0.340 13.220
O 3.551 4.061 20.855
O 2.903 2.892 9.507
```

=====

5.
Material: Cs2As2OF10
Method: DFT, PBE
State: optimized geometry

Output
For the calculated total energy, the calculation gives -4.6733 eV/atom. Its formation energy is -2.680 eV/atom.

```
30
Lattice="10.927 0.000 0.000 0.000 5.705 0.000 0.000 2.476 9.059" Properties=species:S:1:pos:R:3 pbc="T T T"
F 8.195 6.053 1.718
Cs 5.635 6.565 6.819
F 9.444 2.836 4.680
As 2.732 4.115 4.734
F 1.455 2.889 4.969
F 8.195 4.503 6.061
As 8.195 4.418 1.029
F 6.946 2.836 4.680
F 10.000 4.444 0.964
F 0.927 3.737 8.095
F 6.919 5.292 4.090
F 2.732 0.534 0.601
F 2.732 5.339 8.849
As 8.195 4.067 4.325
F 8.195 2.842 0.210
F 6.391 4.444 0.964
F 2.732 2.128 7.341
F 8.195 7.648 8.458
F 4.536 3.737 8.095
O 2.732 4.661 6.464
F 4.008 2.889 4.969
Cs 0.171 1.616 2.240
F 1.483 5.345 4.379
F 3.981 5.345 4.379
O 8.195 3.520 2.595
Cs 5.292 1.616 2.240
As 2.732 3.763 8.030
Cs 10.756 6.565 6.819
F 9.472 5.292 4.090
F 2.732 3.678 2.998
```

=====

6.
Material: VCuSnS4
Method: DFT, PBE
State: optimized geometry

Output
For the calculated total energy, the calculation gives -5.3797 eV/atom. Its formation energy is -0.847 eV/atom.

```
14
Lattice="3.396 -3.288 -5.538 0.770 6.930 0.806 7.351 -0.823 0.056" Properties=species:S:1:pos:R:3 pbc="T T T"
S 9.102 -2.159 -5.139
Cu 5.591 -0.184 -3.755
S 2.037 1.575 0.068
S 7.536 -0.544 -2.521
S 2.415 4.978 0.464
Sn 3.675 -0.412 0.028
S 9.480 1.245 -4.743
S 3.596 -0.103 -2.551
Cu 5.926 3.003 -0.920
S 3.981 3.363 -2.154
Sn 0.000 0.000 0.000
V 1.698 -1.644 -2.769
V 2.083 1.821 -2.366
S 7.921 2.922 -2.124
```

=====

7.
Material: Ag3TeAs2O14
Method: DFT, PBE
State: optimized geometry

Output
For the calculated total energy, the calculation gives -4.7203 eV/atom. Its formation energy is -0.690 eV/atom.

```
40
Lattice="10.155 0.000 0.000 0.000 7.552 0.000 0.000 3.775 7.783" Properties=species:S:1:pos:R:3 pbc="T T T"
Ag 7.619 3.791 0.132
O 1.520 7.936 1.529
O 6.067 8.531 3.739
O 8.873 9.021 5.046
O 9.294 6.784 6.660
O 1.281 5.272 2.728
Te 2.536 3.763 7.728
O 8.932 3.768 2.751
O 0.990 2.796 4.045
O 1.221 7.548 5.041
O 1.402 4.570 6.373
O 3.258 5.581 7.369
O 8.681 0.837 1.458
As 9.588 7.467 5.128
O 3.854 7.559 5.032
O 4.082 4.796 4.035
O 1.812 9.492 7.394
O 6.359 6.055 5.056
Te 7.614 7.564 0.056
O 8.716 4.178 6.307
As 5.645 7.614 5.130
O 0.852 3.030 1.121
As 4.510 3.860 2.655
O 3.796 2.306 2.738
Ag 2.504 6.053 4.230
O 6.889 1.835 0.390
O 6.598 3.391 6.255
Ag 7.660 2.225 3.511
O 3.604 10.490 6.325
As 0.567 3.713 2.654
O 9.160 6.531 3.749
O 6.479 6.757 1.411
O 3.638 7.149 1.476
O 8.335 5.746 0.414
Ag 2.583 9.102 4.272
Ag 2.541 7.536 7.652
O 5.930 8.297 6.662
Ag 7.582 5.274 3.553
O 4.217 4.543 1.124
O 6.298 3.779 2.743
```

=====

8.
Material: SrCuH4C4O8
Method: DFT, PBE
State: optimized geometry

Output
For the distance to the lowest polymorph of the same formula, the calculation gives 0.681 eV per atom. For the calculated total energy, the calculation gives -5.7883 eV/atom. Its formation energy is -0.768 eV/atom.

```
36
Lattice="-5.387 0.529 -7.145 5.832 -0.356 -4.424 -0.276 -7.391 -0.339" Properties=species:S:1:pos:R:3 pbc="T T T"
Cu 0.756 -1.820 -5.071
O 0.388 -2.182 -3.188
C 1.028 -1.741 -7.034
O -0.219 -5.036 -8.720
H 1.716 -6.531 -6.480
H -0.803 -4.469 -4.427
H 1.331 -3.879 -2.975
O -1.757 -7.100 -3.081
C 2.472 -4.574 -6.363
C -0.859 -5.477 -4.874
H -1.163 -3.339 -8.933
H 0.972 -2.749 -7.481
Sr -1.024 -1.754 -1.351
O 3.457 -3.978 -6.782
Cu -0.587 -5.397 -6.837
O 2.687 -1.612 -4.879
O -1.003 -4.064 -9.581
C -1.040 -6.477 -3.856
O 1.172 -3.154 -2.327
C -2.303 -2.644 -5.545
C 1.376 -5.484 -6.559
O 1.938 -4.687 -5.166
O -1.769 -2.531 -6.742
O -3.195 -6.434 -8.104
Sr -4.640 -5.108 -6.133
O -2.519 -5.605 -7.029
H -2.305 0.188 -7.811
O -0.094 -0.778 -7.875
O -3.289 -3.240 -5.126
C 1.209 -0.741 -8.052
O 1.926 -0.118 -8.827
C -1.207 -1.733 -5.349
O 3.364 -0.784 -3.804
O 0.263 -6.439 -4.033
H 2.473 -7.406 -4.097
H -1.547 -0.687 -5.428
```